Record 1
Density functional theory data (GGA-PBE) for Cs3Y7Se12 after structural relaxation.

a = 4.1844 Å, b = 12.9531 Å, c = 26.4919 Å
α = 90.00°, β = 90.00°, γ = 90.00°
Last column: nearest neighbours and their distance in Å.
Fractional positions:
Se 0.0000 0.6009 0.0168  3 Y 2.80-2.88
Se 0.5000 0.8114 0.3206  3 Y 2.86-2.92
Se 0.5000 0.6888 0.6816  3 Y 2.83-2.86
Se 0.0000 0.1861 0.6034  4 Y 2.86-2.88
Se 0.5000 0.4957 0.3029  5 Y 2.99-3.02
Se 0.0000 0.8846 0.5791  3 Y 2.84-2.88
Se 0.5000 0.3120 0.7101  3 Y 2.81
Se 0.0000 0.5043 0.8029  5 Y 2.99-3.02
Se 0.0000 0.6880 0.2101  3 Y 2.81
Se 0.5000 0.1154 0.0791  3 Y 2.84-2.88
Se 0.5000 0.6851 0.8967  4 Y 2.86-2.88
Se 0.5000 0.0964 0.4830  3 Y 2.83-2.92
Se 0.0000 0.3112 0.1816  3 Y 2.83-2.86
Se 0.0000 0.1886 0.8206  3 Y 2.86-2.92
Se 0.0000 0.6145 0.4201  3 Y 2.84-2.87
Se 0.5000 0.3991 0.5168  3 Y 2.80-2.88
Se 0.0000 0.9960 0.1975  5 Y 2.98-3.04
Se 0.0000 0.9036 0.9830  3 Y 2.83-2.92
Se 0.0000 0.8126 0.7895  3 Y 2.82
Se 0.5000 0.0040 0.6975  5 Y 2.98-3.04
Se 0.0000 0.3149 0.3967  4 Y 2.86-2.88
Se 0.5000 0.1874 0.2895  3 Y 2.82
Se 0.5000 0.8139 0.1034  4 Y 2.86-2.88
Se 0.5000 0.3855 0.9201  3 Y 2.84-2.87
Cs 0.5000 0.9668 0.8664  7 Se 3.54-3.82
Cs 0.5000 0.8052 0.4732  5 Se 3.53-3.78
Cs 0.0000 0.1948 0.9732  5 Se 3.53-3.78
Cs 0.0000 0.0332 0.3664  7 Se 3.54-3.82
Cs 0.5000 0.5231 0.1291  7 Se 3.68-3.83
Cs 0.0000 0.4769 0.6291  7 Se 3.68-3.83
Y 0.5000 0.4632 0.4157  6 Se 2.80-3.02
Y 0.0000 0.3330 0.2890  6 Se 2.82-2.99
Y 0.5000 0.7502 0.9999  6 Se 2.86-2.92
Y 0.0000 0.1669 0.7110  6 Se 2.81-2.99
Y 0.0000 0.5368 0.9157  6 Se 2.80-3.02
Y 0.0000 0.6617 0.3153  6 Se 2.81-3.02
Y 0.0000 0.9629 0.0860  6 Se 2.83-2.98
Y 0.5000 0.8331 0.2110  6 Se 2.81-2.99
Y 0.0000 0.2498 0.4999  6 Se 2.86-2.92
Y 0.5000 0.0371 0.5860  6 Se 2.83-2.98
Y 0.5000 0.6670 0.7890  6 Se 2.82-2.99
Y 0.5000 0.3383 0.8153  6 Se 2.81-3.02
Y 0.0000 0.8362 0.6836  6 Se 2.82-3.04
Y 0.5000 0.1638 0.1836  6 Se 2.82-3.04

calculated total energy	-0.21727	hartree per atom
formation energy	-45.830	eV per formula unit

---

Record 2
Density functional theory data (GGA-PBE) for CsYZnSe3 after structural relaxation.

a = 8.3741 Å, b = 8.3741 Å, c = 11.0344 Å
α = 90.00°, β = 90.00°, γ = 151.09°
Last column: nearest neighbours and their distance in Å.
Fractional positions:
Y 0.0000 0.0000 0.0000  6 Se 2.89
Y 0.0000 0.0000 0.5000  6 Se 2.89
Se 0.3832 0.6168 0.0586  1 Zn 2.45
Se 0.9459 0.0541 0.7500  2 Zn 2.59, 2 Y 2.89
Se 0.0541 0.9459 0.2500  2 Zn 2.59, 2 Y 2.89
Se 0.3832 0.6168 0.4414  1 Zn 2.45
Se 0.6168 0.3832 0.5586  1 Zn 2.45
Se 0.6168 0.3832 0.9414  1 Zn 2.45
Zn 0.5398 0.4602 0.7500  4 Se 2.45-2.59
Zn 0.4602 0.5398 0.2500  4 Se 2.45-2.59
Cs 0.7418 0.2582 0.2500  8 Se 3.69-3.96, 2 Zn 4.11
Cs 0.2582 0.7418 0.7500  8 Se 3.69-3.96, 2 Zn 4.11

calculated total energy	-0.16916	hartree per atom
formation energy	-9.925	eV per formula unit

---

Record 3
Density functional theory data (GGA-PBE) for CsSi after structural relaxation.

a = 13.7188 Å, b = 13.7188 Å, c = 13.7188 Å
α = 90.00°, β = 90.00°, γ = 90.00°
Last column: nearest neighbours and their distance in Å.
Fractional positions:
Si 0.9323 0.1881 0.4414  3 Si 2.43-2.46
Si 0.4323 0.9414 0.6881  3 Si 2.43-2.46
Si 0.5586 0.0677 0.1881  3 Si 2.43-2.46
Si 0.4371 0.5629 0.4371  3 Si 2.44
Si 0.5629 0.5629 0.5629  3 Si 2.44
Si 0.9371 0.0629 0.9371  3 Si 2.44
Si 0.0677 0.8119 0.4414  3 Si 2.43-2.46
Si 0.0586 0.6881 0.5677  3 Si 2.43-2.46
Si 0.3119 0.4323 0.0586  3 Si 2.43-2.46
Si 0.5629 0.4371 0.4371  3 Si 2.44
Si 0.9371 0.9371 0.0629  3 Si 2.44
Si 0.6881 0.4323 0.9414  3 Si 2.43-2.46
Si 0.0629 0.0629 0.0629  3 Si 2.44
Si 0.0677 0.1881 0.5586  3 Si 2.43-2.46
Si 0.9414 0.6881 0.4323  3 Si 2.43-2.46
Si 0.4414 0.0677 0.8119  3 Si 2.43-2.46
Si 0.1881 0.5586 0.0677  3 Si 2.43-2.46
Si 0.8119 0.5586 0.9323  3 Si 2.43-2.46
Si 0.6881 0.5677 0.0586  3 Si 2.43-2.46
Si 0.0586 0.3119 0.4323  3 Si 2.43-2.46
Si 0.5586 0.9323 0.8119  3 Si 2.43-2.46
Si 0.5677 0.9414 0.3119  3 Si 2.43-2.46
Si 0.1881 0.4414 0.9323  3 Si 2.43-2.46
Si 0.5677 0.0586 0.6881  3 Si 2.43-2.46
Si 0.4371 0.4371 0.5629  3 Si 2.44
Si 0.4414 0.9323 0.1881  3 Si 2.43-2.46
Si 0.9323 0.8119 0.5586  3 Si 2.43-2.46
Si 0.8119 0.4414 0.0677  3 Si 2.43-2.46
Si 0.0629 0.9371 0.9371  3 Si 2.44
Si 0.9414 0.3119 0.5677  3 Si 2.43-2.46
Si 0.3119 0.5677 0.9414  3 Si 2.43-2.46
Si 0.4323 0.0586 0.3119  3 Si 2.43-2.46
Cs 0.3385 0.1399 0.0677  5 Si 3.58-3.93, 1 Cs 4.00
Cs 0.9323 0.3385 0.8601  5 Si 3.58-3.93, 1 Cs 4.00
Cs 0.0677 0.3385 0.1399  5 Si 3.58-3.93, 1 Cs 4.00
Cs 0.4323 0.3601 0.8385  5 Si 3.58-3.93, 1 Cs 4.00
Cs 0.9323 0.6615 0.1399  5 Si 3.58-3.93, 1 Cs 4.00
Cs 0.3385 0.8601 0.9323  5 Si 3.58-3.93, 1 Cs 4.00
Cs 0.5677 0.3601 0.1615  5 Si 3.58-3.93, 1 Cs 4.00
Cs 0.1615 0.4323 0.6399  5 Si 3.58-3.93, 1 Cs 4.00
Cs 0.8385 0.5677 0.6399  5 Si 3.58-3.93, 1 Cs 4.00
Cs 0.1615 0.5677 0.3601  5 Si 3.58-3.93, 1 Cs 4.00
Cs 0.6615 0.8601 0.0677  5 Si 3.58-3.93, 1 Cs 4.00
Cs 0.3349 0.3349 0.3349  6 Si 3.70-4.03, 3 Cs 4.00
Cs 0.6615 0.1399 0.9323  5 Si 3.58-3.93, 1 Cs 4.00
Cs 0.3601 0.1615 0.5677  5 Si 3.58-3.93, 1 Cs 4.00
Cs 0.1651 0.1651 0.8349  6 Si 3.70-4.03, 3 Cs 4.00
Cs 0.3349 0.6651 0.6651  6 Si 3.70-4.03, 3 Cs 4.00
Cs 0.1399 0.0677 0.3385  5 Si 3.58-3.93, 1 Cs 4.00
Cs 0.6651 0.3349 0.6651  6 Si 3.70-4.03, 3 Cs 4.00
Cs 0.5677 0.6399 0.8385  5 Si 3.58-3.93, 1 Cs 4.00
Cs 0.1651 0.8349 0.1651  6 Si 3.70-4.03, 3 Cs 4.00
Cs 0.4323 0.6399 0.1615  5 Si 3.58-3.93, 1 Cs 4.00
Cs 0.8349 0.8349 0.8349  6 Si 3.70-4.03, 3 Cs 4.00
Cs 0.8385 0.4323 0.3601  5 Si 3.58-3.93, 1 Cs 4.00
Cs 0.6651 0.6651 0.3349  6 Si 3.70-4.03, 3 Cs 4.00
Cs 0.6399 0.8385 0.5677  5 Si 3.58-3.93, 1 Cs 4.00
Cs 0.0677 0.6615 0.8601  5 Si 3.58-3.93, 1 Cs 4.00
Cs 0.8349 0.1651 0.1651  6 Si 3.70-4.03, 3 Cs 4.00
Cs 0.1399 0.9323 0.6615  5 Si 3.58-3.93, 1 Cs 4.00
Cs 0.3601 0.8385 0.4323  5 Si 3.58-3.93, 1 Cs 4.00
Cs 0.8601 0.0677 0.6615  5 Si 3.58-3.93, 1 Cs 4.00
Cs 0.8601 0.9323 0.3385  5 Si 3.58-3.93, 1 Cs 4.00
Cs 0.6399 0.1615 0.4323  5 Si 3.58-3.93, 1 Cs 4.00

calculated total energy	-0.11835	hartree per atom
formation energy	-0.049	eV per formula unit